No. 1
# Rb4Re6S13

A geometry-optimized Rb4Re6S13 structure (r2SCAN, Materials Project).

Cell lengths 9.7511, 9.7511, 14.0993 Å; angles 85.39, 85.39, 119.64 degrees
Closest atoms and distances in Å follow each position.
Atoms (fractional coordinates):
1 Rb 0.6247 0.9060 0.3810  6 S 3.20-3.46
2 Rb 0.0940 0.3753 0.1190  6 S 3.20-3.46
3 Rb 0.3753 0.0940 0.6190  6 S 3.20-3.46
4 Rb 0.9060 0.6247 0.8810  6 S 3.20-3.46
5 Rb 0.2993 0.2388 0.3406  6 S 3.22-3.40
6 Rb 0.7612 0.7007 0.1594  6 S 3.22-3.40
7 Rb 0.7007 0.7612 0.6594  6 S 3.22-3.40
8 Rb 0.2388 0.2993 0.8406  6 S 3.22-3.40
9 Re 0.6818 0.9841 0.9801  5 S 2.40-2.50, 4 Re 2.61-2.64
10 Re 0.0159 0.3182 0.5199  5 S 2.40-2.50, 4 Re 2.61-2.64
11 Re 0.3182 0.0159 0.0199  5 S 2.40-2.50, 4 Re 2.61-2.64
12 Re 0.9841 0.6818 0.4801  5 S 2.40-2.50, 4 Re 2.61-2.64
13 Re 0.1536 0.5748 0.3917  5 S 2.41-2.47, 4 Re 2.61-2.64
14 Re 0.4252 0.8464 0.1083  5 S 2.41-2.47, 4 Re 2.61-2.64
15 Re 0.8464 0.4252 0.6083  5 S 2.41-2.47, 4 Re 2.61-2.64
16 Re 0.5748 0.1536 0.8917  5 S 2.41-2.47, 4 Re 2.61-2.64
17 Re 0.5995 0.1568 0.0761  5 S 2.40-2.44, 4 Re 2.61-2.63
18 Re 0.8432 0.4005 0.4239  5 S 2.40-2.44, 4 Re 2.61-2.63
19 Re 0.4005 0.8432 0.9239  5 S 2.40-2.44, 4 Re 2.61-2.63
20 Re 0.1568 0.5995 0.5761  5 S 2.40-2.44, 4 Re 2.61-2.63
21 S 0.3032 0.4968 0.4904  3 Re 2.41-2.43
22 S 0.5032 0.6968 0.0096  3 Re 2.41-2.43
23 S 0.6968 0.5032 0.5096  3 Re 2.41-2.43
24 S 0.4968 0.3032 0.9904  3 Re 2.41-2.43
25 S 0.6941 0.9946 0.1491  3 Re 2.40-2.43
26 S 0.0054 0.3059 0.3509  3 Re 2.40-2.43
27 S 0.3059 0.0054 0.8509  3 Re 2.40-2.43
28 S 0.9946 0.6941 0.6491  3 Re 2.40-2.43
29 S 0.2712 0.8305 0.4522  3 Re 2.41-2.44
30 S 0.1695 0.7288 0.0478  3 Re 2.41-2.44
31 S 0.7288 0.1695 0.5478  3 Re 2.41-2.44
32 S 0.8305 0.2712 0.9522  3 Re 2.41-2.44
33 S 0.3548 0.0181 0.1866  3 Re 2.41
34 S 0.9819 0.6452 0.3134  3 Re 2.41
35 S 0.6452 0.9819 0.8134  3 Re 2.41
36 S 0.0181 0.3548 0.6866  3 Re 2.41
37 S 0.6410 0.2602 0.3217  1 S 2.10
38 S 0.7398 0.3590 0.1783  1 S 2.10
39 S 0.3590 0.7398 0.6783  1 S 2.10
40 S 0.2602 0.6410 0.8217  1 S 2.10
41 S 0.0794 0.0470 0.0512  1 S 2.12
42 S 0.9530 0.9206 0.4488  1 S 2.12
43 S 0.9206 0.9530 0.9488  1 S 2.12
44 S 0.0470 0.0794 0.5512  1 S 2.12
45 S 0.3547 0.6453 0.2500  2 Re 2.47
46 S 0.6453 0.3547 0.7500  2 Re 2.47

Summary:
Space group: No. 15

No. 2
# Rb2Re3S6

A geometry-optimized Rb2Re3S6 structure (r2SCAN, Materials Project).

Cell lengths 9.8440, 9.8440, 12.0677 Å; angles 88.86, 88.86, 60.26 degrees
Closest atoms and distances in Å follow each position.
Atoms (fractional coordinates):
1 Rb 0.6192 0.3808 0.2500  6 S 3.26-3.54, 2 Rb 3.65
2 Rb 0.8609 0.3670 0.4803  6 S 3.17-3.36
3 Rb 0.2162 0.7838 0.2500  8 S 3.20-3.54
4 Rb 0.1391 0.6330 0.5198  6 S 3.17-3.36
5 Rb 0.7838 0.2162 0.7500  8 S 3.20-3.54
6 Rb 0.3670 0.8609 0.9802  6 S 3.17-3.36
7 Rb 0.3808 0.6192 0.7500  6 S 3.26-3.54, 2 Rb 3.65
8 Rb 0.6330 0.1391 0.0197  6 S 3.17-3.36
9 Re 0.9973 0.6881 0.9782  5 S 2.40-2.51, 4 Re 2.63
10 Re 0.5386 0.8804 0.3734  5 S 2.39-2.48, 4 Re 2.62-2.64
11 Re 0.1196 0.4614 0.1266  5 S 2.39-2.48, 4 Re 2.62-2.64
12 Re 0.8804 0.5386 0.8734  5 S 2.39-2.48, 4 Re 2.62-2.64
13 Re 0.0027 0.3119 0.0218  5 S 2.40-2.51, 4 Re 2.63
14 Re 0.3992 0.1813 0.4135  5 S 2.38-2.49, 4 Re 2.62-2.64
15 Re 0.1813 0.3992 0.9135  5 S 2.38-2.49, 4 Re 2.62-2.64
16 Re 0.8187 0.6008 0.0865  5 S 2.38-2.49, 4 Re 2.62-2.64
17 Re 0.3119 0.0027 0.5218  5 S 2.40-2.51, 4 Re 2.63
18 Re 0.6881 0.9973 0.4782  5 S 2.40-2.51, 4 Re 2.63
19 Re 0.4614 0.1196 0.6266  5 S 2.39-2.48, 4 Re 2.62-2.64
20 Re 0.6008 0.8187 0.5865  5 S 2.38-2.49, 4 Re 2.62-2.64
21 S 0.7316 0.9371 0.6724  3 Re 2.38-2.43
22 S 0.0629 0.2684 0.8276  3 Re 2.38-2.43
23 S 0.9494 0.3822 0.2142  3 Re 2.39-2.42
24 S 0.2009 0.2780 0.5595  3 Re 2.39-2.43
25 S 0.7273 0.5772 0.7029  2 Re 2.48-2.49
26 S 0.5772 0.7273 0.2029  2 Re 2.48-2.49
27 S 0.7220 0.7991 0.9405  3 Re 2.39-2.43
28 S 0.5448 0.2774 0.5178  3 Re 2.44-2.45
29 S 0.2780 0.2009 0.0594  3 Re 2.39-2.43
30 S 0.9351 0.0022 0.4297  1 S 2.13
31 S 0.9978 0.0649 0.0703  1 S 2.13
32 S 0.6178 0.0506 0.2858  3 Re 2.39-2.42
33 S 0.7991 0.7220 0.4406  3 Re 2.39-2.43
34 S 0.3822 0.9494 0.7143  3 Re 2.39-2.42
35 S 0.2684 0.0629 0.3276  3 Re 2.38-2.43
36 S 0.0649 0.9978 0.5703  1 S 2.13
37 S 0.0022 0.9351 0.9297  1 S 2.13
38 S 0.2727 0.4228 0.2971  2 Re 2.48-2.49
39 S 0.4228 0.2727 0.7971  2 Re 2.48-2.49
40 S 0.2774 0.5448 0.0177  3 Re 2.44-2.45
41 S 0.0506 0.6178 0.7857  3 Re 2.39-2.42
42 S 0.9371 0.7316 0.1724  3 Re 2.38-2.43
43 S 0.7226 0.4552 0.9822  3 Re 2.44-2.45
44 S 0.4552 0.7226 0.4823  3 Re 2.44-2.45

Summary:
Space group: No. 15

No. 3
# Rb5Re3S7

A geometry-optimized Rb5Re3S7 structure (r2SCAN, Materials Project).

Cell lengths 10.6395, 10.6407, 10.6116 Å; angles 60.75, 61.00, 60.99 degrees
Closest atoms and distances in Å follow each position.
Atoms (fractional coordinates):
1 Rb 0.0126 0.9902 0.9937  6 S 3.16-3.44
2 Rb 0.4230 0.5716 0.0033  6 S 3.19-3.49
3 Rb 0.4037 0.9983 0.0056  6 S 3.21-3.57
4 Rb 0.5793 0.1273 0.1267  3 S 3.20-3.26
5 Rb 0.0111 0.5688 0.0163  4 S 3.20-3.47
6 Rb 0.4250 0.0050 0.5717  6 S 3.21-3.50
7 Rb 0.0246 0.4571 0.4926  5 S 3.22-3.58
8 Rb 0.0023 0.0145 0.5683  6 S 3.26-3.62
9 Rb 0.8603 0.8626 0.4323  3 S 3.15-3.23
10 Rb 0.8584 0.4236 0.8910  3 S 3.13-3.26
11 Re 0.6182 0.3744 0.3811  5 S 2.41-2.45, 4 Re 2.63-2.65
12 Re 0.6218 0.6227 0.3793  5 S 2.42-2.44, 4 Re 2.63-2.65
13 Re 0.6223 0.3801 0.6254  5 S 2.43-2.44, 4 Re 2.63-2.66
14 Re 0.3743 0.6196 0.3790  5 S 2.41-2.45, 4 Re 2.63-2.65
15 Re 0.3743 0.3765 0.6255  5 S 2.42-2.45, 4 Re 2.63-2.66
16 Re 0.3774 0.6238 0.6240  5 S 2.42-2.45, 4 Re 2.64
17 S 0.7689 0.2077 0.2283  1 Re 2.42
18 S 0.7858 0.7787 0.2269  1 Re 2.42
19 S 0.6104 0.6107 0.1618  3 Re 2.44-2.45
20 S 0.8352 0.3863 0.3874  3 Re 2.41-2.44
21 S 0.6099 0.1599 0.6205  3 Re 2.44-2.45
22 S 0.7902 0.2337 0.7786  1 Re 2.43
23 S 0.3851 0.3816 0.3877  3 Re 2.41-2.44
24 S 0.6140 0.6179 0.6153  3 Re 2.44
25 S 0.2082 0.7693 0.2258  1 Re 2.41
26 S 0.3869 0.8390 0.3858  3 Re 2.44
27 S 0.1581 0.6123 0.6157  3 Re 2.44-2.45
28 S 0.3879 0.3868 0.8428  3 Re 2.44-2.45
29 S 0.2077 0.2236 0.7779  1 Re 2.42
30 S 0.2196 0.7860 0.7813  1 Re 2.42

Summary:
Space group: No. 1

No. 4
# Rb2S

A geometry-optimized Rb2S structure (r2SCAN, Materials Project).

Cell lengths 5.1003, 8.3058, 10.0134 Å; angles 90.00, 90.00, 90.00 degrees
Closest atoms and distances in Å follow each position.
Atoms (fractional coordinates):
1 Rb 0.7500 0.4775 0.6717  3 S 3.40-3.45
2 Rb 0.7500 0.9775 0.8283  3 S 3.40-3.45
3 Rb 0.2500 0.5225 0.3283  3 S 3.40-3.45
4 Rb 0.2500 0.0225 0.1717  3 S 3.40-3.45
5 Rb 0.7500 0.3535 0.0751  4 S 3.25-3.33
6 Rb 0.7500 0.8535 0.4249  4 S 3.25-3.33
7 Rb 0.2500 0.6465 0.9249  4 S 3.25-3.33
8 Rb 0.2500 0.1465 0.5751  4 S 3.25-3.33
9 S 0.7500 0.2517 0.3887  7 Rb 3.25-3.45
10 S 0.7500 0.7517 0.1113  7 Rb 3.25-3.45
11 S 0.2500 0.7483 0.6113  7 Rb 3.25-3.45
12 S 0.2500 0.2483 0.8887  7 Rb 3.25-3.45

Summary:
Space group: No. 62

No. 5
# Rb2S

A geometry-optimized Rb2S structure (r2SCAN, Materials Project).

Cell lengths 5.4994, 5.4994, 5.4994 Å; angles 60.00, 60.00, 60.00 degrees
Closest atoms and distances in Å follow each position.
Atoms (fractional coordinates):
1 Rb 0.7500 0.7500 0.7500  4 S 3.37
2 Rb 0.2500 0.2500 0.2500  4 S 3.37
3 S 0.0000 0.0000 0.0000  8 Rb 3.37

Summary:
Space group: No. 225

no.,spin magnetization (μB/f.u.),DFT formation energy (eV per formula unit),final energy (Ry/atom)
1,0.000,-20.40,-1.5819
2,0.000,-10.03,-1.6258
3,0.000,-15.37,-1.4626
4,0.000,-3.53,-0.9660
5,0.000,-3.58,-0.9670